# 1
A relaxed MgIn crystal. Source: the Materials Project, functional GGA-PBE.

Output
- total magnetization (μB per atom) = 0.00

The structure in POSCAR format:
```
MgIn
1.0
2.0378 -2.2396 1.4426
3.0126 1.1093 0.9714
-0.1247 0.7510 5.0796
In Mg
1 1
Direct
0.0000 0.0000 0.0000
0.5000 0.5000 0.5000
```

***

# 2
A relaxed PrHf2F11 crystal. Source: the Materials Project, functional GGA-PBE.

Output
- MP2020-corrected energy (Ha/atom) = -0.2763

The structure in POSCAR format:
```
PrHf2F11
1.0
1.1871 -1.5196 8.2263
-8.4434 0.3031 0.0829
4.6084 -5.6870 -4.2203
F Hf Pr
22 4 2
Direct
0.0000 0.0000 0.0000
0.0506 0.2633 0.5843
0.4494 0.0336 0.2127
0.2212 0.1289 0.3501
0.9486 0.6082 0.8140
0.8209 0.2367 0.7873
0.6791 0.4664 0.4157
0.7058 0.8918 0.3404
0.5506 0.9664 0.7873
0.7788 0.8711 0.6499
0.7942 0.1346 0.1860
0.5514 0.3654 0.6596
0.4486 0.6346 0.3404
0.2058 0.8654 0.8140
0.0514 0.3918 0.1860
0.2788 0.6289 0.9077
0.2942 0.1082 0.6596
0.9494 0.7367 0.4157
0.7212 0.3711 0.0923
0.1791 0.7633 0.2127
0.3209 0.5336 0.5843
0.5000 0.5000 0.0000
0.6805 0.6340 0.3144
0.1805 0.8660 0.0465
0.8195 0.1340 0.9535
0.3195 0.3660 0.6856
0.2500 0.7500 0.5000
0.7500 0.2500 0.5000
```

***

# 3
A relaxed CdFe2N2 crystal. Source: the Materials Project, functional GGA-PBE.

Output
- MP2020-corrected energy (Ha/atom) = -0.2535
- total magnetization (μB per atom) = 0.18

The structure in POSCAR format:
```
CdFe2N2
1.0
3.0680 -0.0608 0.4510
-1.5866 2.7481 0.0000
1.1018 0.6361 7.8909
N Cd Fe
2 1 2
Direct
0.1861 0.5931 0.1552
0.8139 0.4069 0.8448
0.0000 0.0000 0.5000
0.4475 0.7238 0.8881
0.5525 0.2762 0.1119
```

***

# 4
A relaxed NaAl3P2H4O12 crystal. Source: the Materials Project, functional GGA-PBE.

Output
- MP2020-corrected energy (Ha/atom) = -0.2565
- total magnetization (μB per atom) = 0.00

The structure in POSCAR format:
```
NaAl3P2H4O12
1.0
-3.3333 -0.9223 -9.6546
1.8758 -6.9219 0.0136
-8.7624 -8.1721 3.8060
H O Al P Na
16 48 12 8 4
Direct
0.0957 0.3147 0.4268
0.0466 0.2162 0.9511
0.9034 0.2208 0.4680
0.5966 0.2208 0.9680
0.5096 0.3003 0.5653
0.5957 0.6853 0.0732
0.9534 0.7838 0.0489
0.4043 0.3147 0.9268
0.4034 0.7792 0.0320
0.0096 0.6997 0.9347
0.9904 0.3003 0.0653
0.4534 0.2162 0.4511
0.0966 0.7792 0.5320
0.5466 0.7838 0.5489
0.4904 0.6997 0.4347
0.9043 0.6853 0.5732
0.3860 0.2278 0.5032
0.4217 0.6524 0.3967
0.9484 0.5546 0.7337
0.3694 0.7899 0.6100
0.9459 0.9557 0.7269
0.7613 0.9508 0.1138
0.5541 0.9557 0.2269
0.3398 0.7112 0.9024
0.8398 0.2888 0.5976
0.7205 0.0297 0.7872
0.4459 0.0443 0.7731
0.2844 0.5440 0.2768
0.6140 0.7722 0.4968
0.7844 0.4560 0.2232
0.0541 0.0443 0.2731
0.2613 0.0492 0.3862
0.5783 0.3476 0.6033
0.2809 0.4555 0.6123
0.2156 0.5440 0.7768
0.7795 0.0297 0.2872
0.8860 0.7722 0.9968
0.7809 0.5445 0.8877
0.6058 0.1439 0.9208
0.6602 0.2888 0.0976
0.2795 0.9703 0.2128
0.8942 0.1439 0.4208
0.6497 0.7183 0.0025
0.1497 0.2817 0.4975
0.3503 0.2817 0.9975
0.0783 0.6524 0.8967
0.8694 0.2101 0.8900
0.7191 0.5445 0.3877
0.4484 0.4454 0.7663
0.1058 0.8561 0.5792
0.8503 0.7183 0.5025
0.7387 0.9508 0.6138
0.5516 0.5546 0.2337
0.6306 0.2101 0.3900
0.9217 0.3476 0.1033
0.2191 0.4555 0.1123
0.1140 0.2278 0.0032
0.1306 0.7899 0.1100
0.0516 0.4454 0.2663
0.2205 0.9703 0.7128
0.3942 0.8561 0.0792
0.1602 0.7112 0.4024
0.2387 0.0492 0.8862
0.7156 0.4560 0.7232
0.7803 0.5169 0.0440
0.0661 0.7532 0.7370
0.2470 0.0281 0.0414
0.4339 0.7532 0.2370
0.2803 0.4831 0.4560
0.5661 0.2468 0.7630
0.9339 0.2468 0.2630
0.7197 0.5169 0.5440
0.7470 0.9719 0.4586
0.2197 0.4831 0.9560
0.7530 0.9719 0.9586
0.2530 0.0281 0.5414
0.3287 0.5607 0.6883
0.8115 0.0541 0.6807
0.1885 0.9459 0.3193
0.1713 0.5607 0.1883
0.6713 0.4393 0.3117
0.3115 0.9459 0.8193
0.6885 0.0541 0.1807
0.8287 0.4393 0.8117
0.5758 0.7343 0.8040
0.9242 0.7343 0.3040
0.4242 0.2657 0.1960
0.0758 0.2657 0.6960
```

***

# 5
A relaxed Nd3Sc crystal. Source: the Materials Project, functional GGA-PBE.

The structure in POSCAR format:
```
Nd3Sc
1.0
5.9832 1.6278 -3.6803
-6.2160 -1.0415 -3.5027
-1.2322 5.6647 0.5023
Sc Nd
2 6
Direct
0.6667 0.3333 0.2500
0.3333 0.6667 0.7500
0.3409 0.1704 0.7500
0.1704 0.3409 0.2500
0.8296 0.6591 0.7500
0.8296 0.1704 0.7500
0.1704 0.8296 0.2500
0.6591 0.8296 0.2500
```

***

# 6
A relaxed Al2O3 crystal. Source: the Materials Project, functional GGA-PBE.

Output
- MP2020-corrected energy (Ha/atom) = -0.2867
- total magnetization (μB per atom) = 0.00

The structure in POSCAR format:
```
Al2O3
1.0
-0.6028 2.9841 0.5260
0.0092 -1.2784 7.2639
14.9234 2.9145 0.5683
O Al
18 12
Direct
0.5000 0.6366 0.7897
0.5000 0.6038 0.2964
0.5000 0.3698 0.1835
0.0000 0.7923 0.4288
0.0000 0.3190 0.8438
0.0000 0.6495 0.6584
0.5000 0.9559 0.2752
0.5000 0.9754 0.0828
0.0000 0.1878 0.5863
0.5000 0.0574 0.9209
0.5000 0.9175 0.5812
0.0000 0.2416 0.0371
0.5000 0.9856 0.7535
0.0000 0.7937 0.9243
0.0000 0.2886 0.3185
0.0000 0.6976 0.1631
0.5000 0.0792 0.4379
0.5000 0.3388 0.7147
0.5000 0.8239 0.8640
0.5000 0.2052 0.8247
0.0000 0.9982 0.5030
0.5000 0.7914 0.3700
0.5000 0.8133 0.1787
0.5000 0.2366 0.0915
0.5000 0.1744 0.3301
0.5000 0.7667 0.6734
0.5000 0.1494 0.6391
0.0000 0.4857 0.7512
0.0000 0.0038 0.9933
0.0000 0.4883 0.2418
```

***

# 7
A relaxed Eu2Ga7Ag crystal. Source: the Materials Project, functional GGA-PBE.

The structure in POSCAR format:
```
Eu2Ga7Ag
1.0
-1.0456 0.1904 4.2314
-0.3265 -4.3490 0.1150
10.5900 -0.7249 2.6494
Ga Ag Eu
7 1 2
Direct
0.5000 0.0000 0.3641
0.0000 0.5000 0.8644
0.0000 0.0000 0.5000
0.5000 0.0000 0.1356
0.0000 0.0000 0.0000
0.5000 0.5000 0.5000
0.0000 0.5000 0.6359
0.5000 0.5000 0.0000
0.5000 0.0000 0.7489
0.0000 0.5000 0.2511
```

***

# 8
A relaxed Nd3Al11 crystal. Source: the Materials Project, functional GGA-PBE.

The structure in POSCAR format:
```
Nd3Al11
1.0
-2.1783 5.0339 6.4995
2.1783 -5.0339 6.4995
2.1783 5.0339 -6.4995
Nd Al
3 11
Direct
0.0000 0.0000 0.0000
0.6826 0.6826 0.0000
0.3174 0.3174 0.0000
0.9645 0.3341 0.6305
0.1367 0.8627 0.2740
0.0355 0.6659 0.3695
0.7036 0.3341 0.3695
0.5887 0.8627 0.7260
0.2839 0.5000 0.7839
0.7161 0.5000 0.2161
0.4113 0.1373 0.2740
0.5000 0.0000 0.5000
0.8633 0.1373 0.7260
0.2964 0.6659 0.6305
```

***

# 9
A relaxed LiDyS2 crystal. Source: the Materials Project, functional GGA-PBE.

Output
- MP2020-corrected energy (Ha/atom) = -0.2102
- total magnetization (μB per atom) = 0.00

The structure in POSCAR format:
```
LiDyS2
1.0
3.9164 0.0000 0.0000
0.0000 3.9164 0.0000
0.0000 0.0000 5.3264
Li Dy S
1 1 2
Direct
0.0000 0.0000 0.0000
0.5000 0.5000 0.5000
0.5000 0.5000 0.0000
0.0000 0.0000 0.5000
```

***

# 10
A relaxed KRb2AlCl6 crystal. Source: the Materials Project, functional GGA-PBE.

Output
- MP2020-corrected energy (Ha/atom) = -0.1453
- total magnetization (μB per atom) = 0.00

The structure in POSCAR format:
```
KRb2AlCl6
1.0
-1.2426 -2.5707 6.9886
-6.6237 -3.1827 1.7291
-0.3994 -7.4305 1.2733
Cl Rb Al K
6 2 1 1
Direct
0.7802 0.7802 0.2198
0.2198 0.7802 0.2198
0.7802 0.2198 0.7802
0.2198 0.2198 0.7802
0.2198 0.7802 0.7802
0.7802 0.2198 0.2198
0.2500 0.2500 0.2500
0.7500 0.7500 0.7500
0.0000 0.0000 0.0000
0.5000 0.5000 0.5000
```

***

# 11
A relaxed TcF4 crystal. Source: the Materials Project, functional GGA-PBE.

Output
- MP2020-corrected energy (Ha/atom) = -0.2178

The structure in POSCAR format:
```
TcF4
1.0
-4.3882 0.4097 3.2652
-3.1067 -9.0069 -3.0451
6.0476 -5.0479 8.7610
F Tc
32 8
Direct
0.4563 0.7452 0.0716
0.2685 0.4898 0.9285
0.9090 0.7686 0.6936
0.9090 0.7314 0.1936
0.7315 0.9898 0.5715
0.5437 0.2452 0.4284
0.2807 0.5242 0.1939
0.2315 0.9898 0.9285
0.7807 0.5242 0.3061
0.2315 0.5102 0.4285
0.7807 0.9758 0.8061
0.0910 0.2686 0.8064
0.9563 0.7452 0.4284
0.7315 0.5102 0.0715
0.5910 0.2314 0.1936
0.7685 0.4898 0.5715
0.4090 0.7686 0.8064
0.2807 0.9758 0.6939
0.7193 0.4758 0.8061
0.7193 0.0242 0.3061
0.4090 0.7314 0.3064
0.7685 0.0102 0.0715
0.2193 0.4758 0.6939
0.2193 0.0242 0.1939
0.4563 0.7548 0.5716
0.0437 0.2452 0.0716
0.5437 0.2548 0.9284
0.0910 0.2314 0.3064
0.0437 0.2548 0.5716
0.9563 0.7548 0.9284
0.2685 0.0102 0.4285
0.5910 0.2686 0.6936
0.9055 0.1279 0.1761
0.9055 0.3721 0.6761
0.0945 0.6279 0.3239
0.0945 0.8721 0.8239
0.5945 0.6279 0.1761
0.4055 0.3721 0.8239
0.5945 0.8721 0.6761
0.4055 0.1279 0.3239
```

***

# 12
A relaxed TbFe2 crystal. Source: the Materials Project, functional GGA-PBE.

The structure in POSCAR format:
```
TbFe2
1.0
-3.6502 -3.6502 0.0000
-3.6502 0.0000 -3.6502
0.0000 -3.6502 -3.6502
Fe Tb
4 2
Direct
0.3750 0.3750 0.8750
0.8750 0.3750 0.3750
0.3750 0.8750 0.3750
0.3750 0.3750 0.3750
0.0000 0.0000 0.0000
0.7500 0.7500 0.7500
```

***

Looking at V for the records above, in order, we have 24.00 15.58 12.79 9.41 32.75 11.56 20.82 20.36 20.42 30.42 16.16 16.21 Å³/atom.
Looking at E for the records above, in order, we have -0.082 -0.263 -0.248 -0.243 -0.188 -0.272 -0.180 -0.160 -0.201 -0.132 -0.204 -0.266 Ha/atom.